## Cs2TlHCl5 (GGA-PBE)

Data for a relaxed structure of Cs2TlHCl5.

Computed properties:
calculated total energy: -25.80 eV per formula unit
M_tot: 0.11 μB per atom
SG: Pnma (62)

a = 14.6604 Å, b = 11.2092 Å, c = 7.5712 Å
α = 90.00°, β = 90.00°, γ = 90.00°
Last column: nearest neighbours and their distance in Å.
Sites, in units of the cell vectors:
Cs: 0.1372 0.0026 0.1841  10 Cl 3.60-3.94
Cs: 0.1372 0.4974 0.1841  10 Cl 3.60-3.94
Cs: 0.3628 0.5026 0.6841  10 Cl 3.60-3.94
Cs: 0.3628 0.9974 0.6841  10 Cl 3.60-3.94
Cs: 0.6372 0.0026 0.3159  10 Cl 3.60-3.94
Cs: 0.6372 0.4974 0.3159  10 Cl 3.60-3.94
Cs: 0.8628 0.5026 0.8159  10 Cl 3.60-3.94
Cs: 0.8628 0.9974 0.8159  10 Cl 3.60-3.94
Tl: 0.1216 0.2500 0.7106  1 H 1.81
Tl: 0.3784 0.7500 0.2106  1 H 1.81
Tl: 0.6216 0.2500 0.7894  1 H 1.81
Tl: 0.8784 0.7500 0.2894  1 H 1.81
H: 0.0315 0.2500 0.5475  1 Tl 1.81
H: 0.4685 0.7500 0.0475  1 Tl 1.81
H: 0.5315 0.2500 0.9525  1 Tl 1.81
H: 0.9685 0.7500 0.4525  1 Tl 1.81
Cl: 0.0029 0.7500 0.0356  1 Tl 2.65
Cl: 0.1078 0.0136 0.6897  1 Tl 2.66
Cl: 0.1078 0.4864 0.6897  1 Tl 2.66
Cl: 0.2293 0.2500 0.4303  1 Tl 2.65
Cl: 0.2494 0.7500 0.4234  1 Tl 2.48
Cl: 0.2506 0.2500 0.9234  1 Tl 2.48
Cl: 0.2707 0.7500 0.9303  1 Tl 2.65
Cl: 0.3922 0.5136 0.1897  1 Tl 2.66
Cl: 0.3922 0.9864 0.1897  1 Tl 2.66
Cl: 0.4971 0.2500 0.5356  1 Tl 2.65
Cl: 0.5029 0.7500 0.4644  1 Tl 2.65
Cl: 0.6078 0.0136 0.8103  1 Tl 2.66
Cl: 0.6078 0.4864 0.8103  1 Tl 2.66
Cl: 0.7293 0.2500 0.0697  1 Tl 2.65
Cl: 0.7494 0.7500 0.0766  1 Tl 2.48
Cl: 0.7506 0.2500 0.5766  1 Tl 2.48
Cl: 0.7707 0.7500 0.5697  1 Tl 2.65
Cl: 0.8922 0.5136 0.3103  1 Tl 2.66
Cl: 0.8922 0.9864 0.3103  1 Tl 2.66
Cl: 0.9971 0.2500 0.9644  1 Tl 2.65